No. 1
The following is a PBE with a Hubbard U calculation of a relaxed structure of Li2FeCo9O20, from the Materials Project database.

POSCAR file:
```
Li2FeCo9O20
1.0
-4.365 2.245 0.507
-1.149 -7.206 -1.767
1.249 -1.580 9.816
O Co Fe Li
20 9 1 2
Cartesian
-3.656 -4.323 8.145
-0.609 -2.219 0.412
-0.851 -1.946 5.613
-2.208 0.070 0.975
-0.797 -4.242 8.157
-0.593 -6.513 4.529
-1.982 -4.676 -0.164
-2.082 -4.297 5.013
-2.184 -2.244 3.544
-3.676 -1.987 5.597
-2.195 0.435 6.177
-4.824 -4.779 -0.228
-3.672 -0.028 4.028
-3.414 -4.596 2.944
-2.070 -6.977 2.380
-2.057 -6.611 7.582
0.558 -1.762 8.785
-2.283 -1.866 8.721
-0.589 -4.555 2.960
-3.468 -2.299 0.400
-3.419 -3.704 -0.885
-2.030 -5.634 3.656
-0.574 -3.603 -0.883
-2.360 -0.492 9.995
-2.235 -0.908 4.901
-1.906 -6.050 -1.438
-0.846 -2.837 9.442
-0.717 -3.238 4.296
-3.548 -3.304 4.260
0.624 -0.790 4.908
-3.586 -1.099 2.209
-0.679 -5.442 6.347
```

Output
VASP energy   -5.7842 eV per atom
SG   P-1, No. 2
Formation energy from the elements   -1.27 eV per atom

---

No. 2
The following is a PBE with a Hubbard U calculation of a relaxed structure of Li8FeCo9O20, from the Materials Project database.

POSCAR file:
```
Li8FeCo9O20
1.0
4.906 0.000 0.000
-2.441 7.076 0.000
-0.816 -1.419 9.583
Co O Li Fe
9 20 8 1
Cartesian
-1.214 6.366 0.019
2.863 -0.709 9.565
2.069 0.716 4.791
0.399 0.699 9.573
-1.221 3.538 0.000
-0.420 4.942 4.792
1.250 4.959 0.010
-0.397 2.123 4.811
2.046 3.534 4.773
2.845 -0.750 5.810
-0.392 -0.738 8.579
-0.383 2.144 8.599
2.041 6.395 1.005
-2.064 4.967 5.841
2.064 3.534 8.555
0.477 0.694 5.813
2.861 2.155 5.801
0.408 3.530 5.834
1.241 2.127 3.749
2.044 0.711 1.037
-0.356 4.936 1.002
3.713 0.691 3.742
-1.196 6.408 3.773
-0.415 2.123 1.029
1.172 4.964 3.770
2.032 3.513 0.984
-1.212 3.502 3.783
-0.395 4.946 8.547
2.005 0.722 8.581
-1.221 3.437 7.199
1.240 -0.633 7.227
0.409 6.291 2.356
0.420 0.630 2.362
1.229 5.028 7.221
2.870 2.221 2.384
1.248 2.062 7.209
0.401 3.596 2.375
-0.408 -0.709 4.792
```

Output
VASP energy   -5.7604 eV per atom
SG   P-1, No. 2
Formation energy from the elements   -1.66 eV per atom

---

No. 3
The following is a PBE with a Hubbard U calculation of a relaxed structure of Li5FeCo4O10, from the Materials Project database.

POSCAR file:
```
Li5FeCo4O10
1.0
0.214 2.820 0.770
-2.528 -1.044 -1.053
-8.677 -5.373 22.073
Fe O Li Co
1 10 5 4
Cartesian
-2.321 -0.318 1.806
-5.523 -0.776 9.947
-5.468 -2.821 11.842
-1.074 1.235 1.354
-3.141 -0.409 7.945
-7.648 -4.555 18.794
-7.581 -2.412 16.509
-3.353 0.950 3.029
-7.850 -3.188 13.844
-3.414 -1.187 5.291
-9.904 -4.821 20.394
-8.670 -5.368 22.052
-8.878 -4.005 17.123
-4.439 -2.003 8.563
-6.552 -1.594 13.228
-2.119 0.403 4.687
-4.435 0.090 6.478
-8.669 -3.278 19.979
-6.558 -3.688 15.317
-6.760 -2.321 10.369
```

Output
VASP energy   -5.6438 eV per atom
SG   R-3m, No. 166
Formation energy from the elements   -1.63 eV per atom

---

No. 4
The following is a PBE with a Hubbard U calculation of a relaxed structure of Li6Fe3Co5O16, from the Materials Project database.

POSCAR file:
```
Li6Fe3Co5O16
1.0
5.242 0.000 -0.014
0.000 2.909 0.000
1.494 0.000 18.940
O Li Fe Co
16 6 3 5
Cartesian
6.114 1.454 12.886
5.417 0.000 10.607
4.153 1.454 1.069
4.059 1.454 15.327
0.710 1.454 6.006
2.550 1.454 17.709
4.997 0.000 3.624
2.675 1.454 3.487
4.436 1.454 8.398
3.031 0.000 13.047
4.877 0.000 17.754
2.260 1.454 10.774
1.592 0.000 15.349
3.516 0.000 5.968
1.955 0.000 0.912
1.546 0.000 8.450
3.484 0.000 9.680
4.946 0.000 13.964
2.523 1.454 7.128
1.584 0.000 4.528
0.101 0.000 0.174
5.879 1.454 16.555
4.277 1.454 4.741
5.186 0.000 7.177
3.414 0.000 2.304
2.418 1.454 14.233
0.801 1.454 9.542
3.259 0.000 16.549
4.146 1.454 18.847
1.578 0.000 11.845
```

Output
VASP energy   -5.8421 eV per atom
SG   Pm, No. 6
Formation energy from the elements   -1.65 eV per atom